1.
Ba10Co7Ir3O30 | PBE+U | relaxed

a = 10.0020 Å, b = 5.7780 Å, c = 23.9520 Å
α = 90.00°, β = 90.92°, γ = 90.00°
Last column: nearest neighbours and their distance in Å.
Space group Cm (No. 8)
Inequivalent atoms, fractional coordinates:
Ba1 0.0000 0.0000 0.0000  12 O 2.83-3.14
Ba2 0.0000 0.0000 0.3974  12 O 2.89-3.17
Ba3 0.0005 0.0000 0.1847  12 O 2.88-3.20
Ba4 0.0013 0.0000 0.5815  12 O 2.83-3.11
Ba5 0.1674 0.5000 0.9037  9 O 2.79-2.92
Ba6 0.1680 0.5000 0.4974  12 O 2.87-3.05
Ba7 0.1687 0.5000 0.6781  9 O 2.81-2.91
Ba8 0.1695 0.5000 0.0866  12 O 2.89-3.04
Ba9 0.3327 0.0000 0.2867  12 O 2.85-3.01
Ba10 0.3347 0.0000 0.7906  12 O 2.89-2.93
Co1 0.1678 0.5000 0.2306  5 O 1.90-2.08
Co2 0.3318 0.0000 0.9378  6 O 1.92-2.10
Co3 0.3342 0.0000 0.5400  6 O 1.86-1.92
Co4 0.3337 0.0000 0.6437  6 O 1.96-2.09
Co5 0.3346 0.0000 0.0412  6 O 1.88-1.94
Co6 0.3366 0.0000 0.1465  6 O 1.82-2.02
Co7 0.3365 0.0000 0.4365  6 O 1.96-2.07
Ir1 0.0009 0.0000 0.7371  6 O 1.95-2.03
Ir2 0.0015 0.0000 0.8439  6 O 1.95-2.04
Ir3 0.1681 0.5000 0.3432  6 O 1.94-1.98
O1 0.0065 0.5000 0.3886  1 Ir 1.96, 1 Co 2.07
O2 0.0799 0.2367 0.7910  2 Ir 2.03
O3 0.0925 0.2755 0.2902  1 Ir 1.96, 1 Co 2.08
O4 0.1609 0.0000 0.6915  1 Ir 1.95, 1 Co 2.09
O5 0.1690 0.0000 0.8904  1 Co 1.97, 1 Ir 2.00
O6 0.1850 0.0000 0.4928  2 Co 1.86-2.05
O7 0.1908 0.0000 0.0932  2 Co 1.92
O8 0.2483 0.2535 0.1904  2 Co 1.90-2.02
O9 0.2487 0.2532 0.3904  1 Ir 1.98, 1 Co 2.02
O10 0.2575 0.2253 0.9929  2 Co 1.90-2.01
O11 0.2590 0.2233 0.5902  2 Co 1.92-1.96
O12 0.3211 0.5000 0.2942  1 Ir 1.94, 1 Co 2.14
O13 0.3435 0.5000 0.7893  2 Ir 2.03-2.04
O14 0.4099 0.2225 0.0894  2 Co 1.88-2.02
O15 0.4101 0.2229 0.4904  2 Co 1.92-1.96
O16 0.4192 0.2527 0.6910  1 Ir 1.97, 1 Co 2.03
O17 0.4213 0.2592 0.8894  1 Ir 1.95, 1 Co 2.10
O18 0.4811 0.0000 0.9892  2 Co 1.92-1.94
O19 0.4842 0.0000 0.5881  2 Co 1.88-2.03
O20 0.4908 0.0000 0.1882  2 Co 1.82-2.03



2.
Na4FeNiP3O12 | PBE+U | relaxed

a = 8.9613 Å, b = 8.9613 Å, c = 21.6098 Å
α = 90.00°, β = 90.00°, γ = 120.00°
Last column: nearest neighbours and their distance in Å.
Space group R3c (No. 161, hexagonal axes)
Inequivalent atoms, fractional coordinates:
Na1 0.0000 0.0000 0.0000  6 O 2.44-2.48
Na2 0.0343 0.3382 0.0843  6 O 2.45-2.62
Fe1 0.0000 0.0000 0.1511  6 O 1.99-2.10
Ni1 0.0000 0.0000 0.3535  6 O 2.01-2.12
P1 0.0008 0.2956 0.2530  4 O 1.53-1.57
O1 0.0164 0.1898 0.9159  1 P 1.55
O2 0.0240 0.2079 0.1940  1 P 1.56
O3 0.1441 0.4573 0.9776  1 P 1.53
O4 0.1673 0.4785 0.2544  1 P 1.57



3.
Te2W2N2O15 | PBE+U | relaxed

a = 7.3342 Å, b = 7.3994 Å, c = 10.3511 Å
α = 90.00°, β = 90.00°, γ = 90.00°
Last column: nearest neighbours and their distance in Å.
Space group Imm2 (No. 44)
Inequivalent atoms, fractional coordinates:
Te1 0.2493 0.0000 0.0000  6 O 1.94-1.97
W1 0.0000 0.2498 0.7487  6 O 1.93-1.95
N1 0.0000 0.2931 0.2207  8 O 2.64-2.95
O1 0.0000 0.0000 0.0702  2 Te 1.97
O2 0.0000 0.0000 0.4464  2 O 1.28
O3 0.0000 0.0000 0.6938  2 W 1.93
O4 0.0000 0.5000 0.4315  2 Te 1.97
O5 0.0000 0.5000 0.8025  2 W 1.93
O6 0.1497 0.0000 0.3827  1 O 1.28
O7 0.1864 0.1859 0.8745  1 W 1.95, 1 Te 1.95
O8 0.1855 0.3097 0.6209  1 Te 1.94, 1 W 1.95



4.
Li8Mn7NbP12O48 | PBE+U | relaxed

a = 8.5623 Å, b = 8.7862 Å, c = 12.2673 Å
α = 90.07°, β = 90.47°, γ = 90.90°
Last column: nearest neighbours and their distance in Å.
Space group P1 (No. 1)
Inequivalent atoms, fractional coordinates:
Li1 0.0000 0.0000 0.0000  4 O 1.94-2.00
Li2 0.0009 0.0528 0.3674  4 O 1.94-2.00
Li3 0.4405 0.5047 0.9983  4 O 1.88-1.99
Li4 0.4430 0.5620 0.3665  4 O 1.90-2.09
Li5 0.5007 0.9993 0.8660  4 O 1.94-2.01
Li6 0.5049 0.0533 0.5107  4 O 1.92-2.11
Li7 0.9389 0.4991 0.8649  4 O 1.92-1.99
Li8 0.9408 0.5581 0.5023  4 O 1.93-2.00
Mn1 0.4692 0.8128 0.0695  6 O 1.91-2.12
Mn2 0.4701 0.3163 0.7963  5 O 1.94-2.03
Mn3 0.4710 0.7409 0.5724  5 O 1.91-2.10
Mn4 0.9715 0.7397 0.2958  5 O 1.90-2.09
Mn5 0.9721 0.3155 0.0704  5 O 1.91-2.07
Mn6 0.9729 0.2400 0.5724  6 O 1.89-2.05
Mn7 0.9727 0.8152 0.7961  6 O 1.90-2.04
Nb1 0.4744 0.2375 0.2975  6 O 1.94-2.06
P1 0.1120 0.3832 0.3346  4 O 1.51-1.59
P2 0.1163 0.6745 0.0343  4 O 1.52-1.57
P3 0.1860 0.5277 0.6846  4 O 1.52-1.57
P4 0.2552 0.0314 0.6846  4 O 1.53-1.55
P5 0.3215 0.1736 0.0343  4 O 1.51-1.60
P6 0.3239 0.8756 0.3305  4 O 1.51-1.59
P7 0.6159 0.6737 0.8281  4 O 1.52-1.57
P8 0.6216 0.3831 0.5366  4 O 1.50-1.60
P9 0.6920 0.5274 0.1803  4 O 1.52-1.60
P10 0.7617 0.0209 0.1790  4 O 1.52-1.58
P11 0.8263 0.1719 0.8260  4 O 1.53-1.57
P12 0.8272 0.8818 0.5409  4 O 1.53-1.57
O1 0.0463 0.2602 0.4146  1 P 1.56
O2 0.0459 0.7945 0.9536  1 P 1.57
O3 0.0631 0.5125 0.0014  1 P 1.54
O4 0.0629 0.5437 0.3672  1 P 1.53
O5 0.0654 0.3360 0.2203  1 P 1.51
O6 0.0655 0.7197 0.1478  1 P 1.52
O7 0.0755 0.4380 0.6036  1 P 1.57
O8 0.0772 0.6157 0.7640  1 P 1.57
O9 0.1407 0.1761 0.0295  1 P 1.55
O10 0.1431 0.8784 0.3410  1 P 1.55
O11 0.1598 0.1372 0.6096  1 P 1.55
O12 0.1603 0.9219 0.7577  1 P 1.54
O13 0.2793 0.4210 0.7573  1 P 1.52
O14 0.2797 0.6346 0.6107  1 P 1.53
O15 0.2969 0.3784 0.3430  1 P 1.59
O16 0.2985 0.6767 0.0252  1 P 1.56
O17 0.3607 0.1198 0.7675  1 P 1.55
O18 0.3608 0.9479 0.6049  1 P 1.53
O19 0.3725 0.2061 0.1576  1 P 1.60
O20 0.3748 0.0148 0.0028  1 P 1.53
O21 0.3756 0.8383 0.2164  1 P 1.51
O22 0.3796 0.0428 0.3623  1 P 1.59
O23 0.3955 0.2990 0.9666  1 P 1.51
O24 0.3958 0.7632 0.4123  1 P 1.54
O25 0.5467 0.7915 0.9067  1 P 1.54
O26 0.5527 0.2577 0.4541  1 P 1.60
O27 0.5631 0.5100 0.8610  1 P 1.56
O28 0.5669 0.5389 0.4985  1 P 1.53
O29 0.5683 0.7125 0.7116  1 P 1.52
O30 0.5686 0.3381 0.6484  1 P 1.50
O31 0.5782 0.6073 0.1044  1 P 1.52
O32 0.5815 0.4337 0.2620  1 P 1.60
O33 0.6452 0.1724 0.8361  1 P 1.56
O34 0.6451 0.8818 0.5308  1 P 1.56
O35 0.6578 0.1322 0.2477  1 P 1.58
O36 0.6596 0.9141 0.1102  1 P 1.52
O37 0.7837 0.6334 0.2571  1 P 1.53
O38 0.7853 0.4168 0.1115  1 P 1.53
O39 0.7989 0.6745 0.8388  1 P 1.57
O40 0.8023 0.3786 0.5236  1 P 1.56
O41 0.8626 0.9425 0.2651  1 P 1.53
O42 0.8636 0.1114 0.0997  1 P 1.53
O43 0.8739 0.2112 0.7084  1 P 1.54
O44 0.8763 0.8417 0.6577  1 P 1.53
O45 0.8801 0.0086 0.8597  1 P 1.57
O46 0.8813 0.0462 0.5072  1 P 1.57
O47 0.8952 0.7648 0.4625  1 P 1.53
O48 0.8987 0.2910 0.9034  1 P 1.53



5.
Ba2Co2O5 | PBE+U | relaxed

a = 17.4317 Å, b = 5.6912 Å, c = 5.6575 Å
α = 90.00°, β = 90.00°, γ = 90.00°
Last column: nearest neighbours and their distance in Å.
Space group Ima2 (No. 46)
Inequivalent atoms, fractional coordinates:
Ba1 0.1114 0.0034 0.0000  8 O 2.69-2.96
Co1 0.0000 0.0000 0.4996  4 O 2.01
Co2 0.2500 0.5668 0.9726  4 O 1.78-1.92
O1 0.0023 0.7486 0.7484  2 Co 2.01
O2 0.1526 0.0213 0.5064  1 Co 1.78
O3 0.2500 0.6472 0.6431  2 Co 1.89-1.92



6.
LiCo6O2F10 | PBE+U | relaxed

- Distance to the lowest polymorph of the same formula: 0.083 eV/atom

a = 4.8439 Å, b = 4.8615 Å, c = 9.2796 Å
α = 90.31°, β = 90.43°, γ = 92.97°
Last column: nearest neighbours and their distance in Å.
Space group P1 (No. 1)
Inequivalent atoms, fractional coordinates:
Li1 0.0000 0.0000 0.0000  3 F 1.85-2.02, 1 O 1.90
Co1 0.0082 0.5120 0.3548  6 F 2.04-2.15
Co2 0.0428 0.5399 0.6894  1 O 1.96, 5 F 2.07-2.17
Co3 0.5008 0.0140 0.8473  2 O 1.80-1.87
Co4 0.5031 0.0217 0.1821  1 O 1.97, 5 F 2.04-2.18
Co5 0.5097 0.0081 0.5280  1 O 1.97, 5 F 2.09-2.17
Co6 0.9519 0.4864 0.0175  1 O 1.95, 5 F 2.03-2.17
O1 0.3401 0.8287 0.6977  3 Co 1.80-1.97
O2 0.6671 0.1896 0.0077  3 Co 1.87-1.97, 1 Li 1.90
F1 0.1560 0.2726 0.1786  3 Co 2.10-2.15, 1 Li 2.22
F2 0.1741 0.2796 0.8633  1 Li 2.02, 3 Co 2.08-2.17
F3 0.2032 0.3188 0.5207  3 Co 2.06-2.17
F4 0.3013 0.7826 0.0107  1 Li 1.85
F5 0.3302 0.8000 0.3471  3 Co 2.04-2.11
F6 0.6856 0.2264 0.3555  3 Co 2.04-2.09
F7 0.7075 0.2399 0.6969  3 Co 2.02-2.13
F8 0.8280 0.7406 0.8573  1 Li 1.97, 3 Co 2.04-2.14
F9 0.8298 0.7292 0.1814  3 Co 2.03-2.18
F10 0.8387 0.7299 0.5196  3 Co 2.06-2.14



7.
Ba2AlTlV2O7 | PBE+U | relaxed

- Distance to the lowest polymorph of the same formula: 0.038 eV/atom

a = 3.9907 Å, b = 3.4891 Å, c = 16.3052 Å
α = 90.00°, β = 96.83°, γ = 90.00°
Last column: nearest neighbours and their distance in Å.
Space group Pm (No. 6)
Inequivalent atoms, fractional coordinates:
Ba1 0.0000 0.0000 0.0000  6 O 2.62-2.78
Ba2 0.0029 0.0000 0.4146  1 O 2.38
Al1 0.0665 0.0000 0.6994  4 O 1.74-1.90
Tl1 0.5026 0.5000 0.1971  2 O 2.34
V1 0.4369 0.5000 0.8577  4 O 1.88-2.08
V2 0.5127 0.5000 0.5848  4 O 1.88-2.01
O1 0.3044 0.0000 0.6086  1 Al 1.85, 2 V 1.99
O2 0.3488 0.0000 0.7895  1 Al 1.74
O3 0.4727 0.5000 0.9783  1 V 1.96
O4 0.5407 0.5000 0.4702  1 V 1.88
O5 0.7866 0.0000 0.2721  2 Tl 2.34, 1 Ba 2.38
O6 0.8946 0.5000 0.6766  2 Al 1.90, 1 V 2.01
O7 0.9114 0.5000 0.8667  1 V 1.88



8.
MgTiZn2WO6 | PBE+U | relaxed

- Distance to the lowest polymorph of the same formula: 0.011 eV/atom

a = 5.2802 Å, b = 5.2805 Å, c = 5.9543 Å
α = 90.48°, β = 116.10°, γ = 119.32°
Last column: nearest neighbours and their distance in Å.
Space group P1 (No. 1)
Inequivalent atoms, fractional coordinates:
Mg1 0.0000 0.0000 0.0000  6 O 2.07-2.12
Ti1 0.2968 0.6406 0.9456  3 O 1.90-2.02
Zn1 0.6695 0.8314 0.4928  6 O 2.09-2.30
Zn2 0.8237 0.4127 0.2318  3 O 1.95-1.96
W1 0.3613 0.1778 0.5461  6 O 2.15-2.25
O1 0.1491 0.9033 0.7605  1 Ti 2.02, 1 Mg 2.07, 1 Zn 2.14, 1 W 2.16
O2 0.2053 0.7847 0.2507  2 Zn 1.96-2.11, 1 Mg 2.12
O3 0.4621 0.4080 0.2527  2 Zn 1.96-2.10, 1 Mg 2.10
O4 0.5138 0.6016 0.7763  1 Ti 1.90, 1 Mg 2.11
O5 0.8378 0.0516 0.2514  2 Zn 1.95-2.09, 1 Mg 2.10
O6 0.8513 0.2509 0.7730  1 Ti 1.98, 1 Mg 2.08, 1 W 2.15



9.
LiTbW2O8 | PBE+U | relaxed

- Distance to the lowest polymorph of the same formula: 0.065 eV/atom

a = 5.2287 Å, b = 5.2287 Å, c = 11.2430 Å
α = 90.00°, β = 90.00°, γ = 90.00°
Last column: nearest neighbours and their distance in Å.
Space group I-4 (No. 82)
Inequivalent atoms, fractional coordinates:
Li1 0.0000 0.0000 0.0000  8 O 2.43-2.44
Tb1 0.0000 0.5000 0.2500  8 O 2.39
W1 0.0000 0.0000 0.5000  4 O 1.83
W2 0.0000 0.5000 0.7500  4 O 1.83
O1 0.1590 0.2451 0.4102  1 W 1.83
O2 0.1658 0.7475 0.8354  1 W 1.83



10.
Sr2Ca2Co3CuO12 | PBE+U | relaxed

a = 7.6769 Å, b = 7.7195 Å, c = 7.6844 Å
α = 90.00°, β = 90.24°, γ = 90.00°
Last column: nearest neighbours and their distance in Å.
Space group Pm (No. 6)
Inequivalent atoms, fractional coordinates:
Sr1 0.0000 0.0000 0.0000  12 O 2.72-2.79
Sr2 0.9998 0.0000 0.4991  12 O 2.74-2.78
Sr3 0.9999 0.5000 0.4988  12 O 2.72-2.76
Sr4 0.5012 0.5000 0.0006  12 O 2.69-2.75
Ca1 0.5018 0.0000 0.0020  12 O 2.62-2.74
Ca2 0.5017 0.0000 0.4974  12 O 2.63-2.72
Ca3 0.5018 0.5000 0.4982  12 O 2.67-2.73
Ca4 0.9993 0.5000 0.0011  12 O 2.68-2.75
Co1 0.2519 0.2501 0.7497  6 O 1.89-1.93
Co2 0.2527 0.2501 0.2496  6 O 1.86-1.94
Co3 0.7488 0.2500 0.7497  6 O 1.87-1.95
Cu1 0.7505 0.2500 0.2496  6 O 1.93-1.97
O1 0.0031 0.2524 0.7521  2 Co 1.91-1.95
O2 0.0072 0.2531 0.2462  1 Co 1.88, 1 Cu 1.97
O3 0.2530 0.2497 0.9968  2 Co 1.90-1.94
O4 0.2534 0.5000 0.2500  2 Co 1.93
O5 0.2533 0.5000 0.7492  2 Co 1.93
O6 0.2549 0.0000 0.7498  2 Co 1.93
O7 0.2567 0.0000 0.2496  2 Co 1.93
O8 0.2573 0.2498 0.5023  2 Co 1.90-1.94
O9 0.4953 0.2474 0.2526  1 Co 1.86, 1 Cu 1.96
O10 0.4975 0.2480 0.7476  2 Co 1.89-1.93
O11 0.7372 0.0000 0.2493  2 Cu 1.93
O12 0.7408 0.0000 0.7496  2 Co 1.93
O13 0.7426 0.2501 0.5055  1 Co 1.88, 1 Cu 1.97
O14 0.7477 0.5000 0.2500  2 Cu 1.93
O15 0.7481 0.5000 0.7494  2 Co 1.93
O16 0.7489 0.2498 0.9937  1 Co 1.87, 1 Cu 1.97



11.
LiMnPH2O5 | PBE+U | relaxed

- Distance to the lowest polymorph of the same formula: 0.047 eV/atom

a = 11.1871 Å, b = 8.2012 Å, c = 5.1575 Å
α = 90.00°, β = 90.00°, γ = 90.00°
Last column: nearest neighbours and their distance in Å.
Space group Pna2_1 (No. 33)
Inequivalent atoms, fractional coordinates:
Li1 0.1156 0.1225 0.0000  4 O 1.92-2.05
Mn1 0.1960 0.3116 0.5063  4 O 2.04-2.20
P1 0.1643 0.9117 0.4961  4 O 1.52-1.57
H1 0.0097 0.5705 0.1782  1 O 0.99
H2 0.0404 0.6879 0.9486  1 O 0.98
O1 0.0111 0.4036 0.4970  2 H 0.98-0.99
O2 0.0485 0.8229 0.4320  1 P 1.52
O3 0.1679 0.0836 0.3625  1 P 1.57
O4 0.1802 0.9367 0.7961  1 P 1.57
O5 0.2230 0.3148 0.8990  1 P 1.57



Number 1: energy relative to the elements -1.986 eV/atom, raw total energy -6.22 eV per atom. Number 2: energy relative to the elements -2.418 eV/atom, raw total energy -6.33 eV per atom. Number 3: energy relative to the elements -0.327 eV/atom, raw total energy -5.77 eV per atom. Number 4: energy relative to the elements -2.548 eV/atom, raw total energy -7.12 eV per atom. Number 5: energy relative to the elements -2.060 eV/atom, raw total energy -6.07 eV per atom. Number 6: energy relative to the elements -1.998 eV/atom, raw total energy -5.04 eV per atom. Number 7: energy relative to the elements -2.388 eV/atom, raw total energy -6.58 eV per atom. Number 8: energy relative to the elements -2.158 eV/atom, raw total energy -6.35 eV per atom. Number 9: energy relative to the elements -2.595 eV/atom, raw total energy -7.40 eV per atom. Number 10: energy relative to the elements -1.893 eV/atom, raw total energy -5.84 eV per atom. Number 11: energy relative to the elements -2.160 eV/atom, raw total energy -6.45 eV per atom.